No. 1
The following is a DFT calculation (PBE) of an optimized crystal structure of CaBi2P2O9.

## Properties
magnetization	0.00	μB/f.u.

a = 16.028 Å, b = 7.145 Å, c = 7.245 Å
α = 90.00°, β = 90.00°, γ = 90.00°
Positions (direct):
Ca: 0.223 0.250 0.090
Ca: 0.277 0.750 0.590
Ca: 0.723 0.250 0.410
Ca: 0.777 0.750 0.910
Bi: 0.000 0.000 0.000
Bi: 0.000 0.500 0.000
Bi: 0.118 0.250 0.603
Bi: 0.382 0.750 0.103
Bi: 0.500 0.000 0.500
Bi: 0.500 0.500 0.500
Bi: 0.618 0.250 0.897
Bi: 0.882 0.750 0.397
P: 0.083 0.750 0.605
P: 0.192 0.750 0.100
P: 0.308 0.250 0.600
P: 0.417 0.250 0.105
P: 0.583 0.750 0.895
P: 0.692 0.750 0.400
P: 0.808 0.250 0.900
P: 0.917 0.250 0.395
O: 0.022 0.750 0.778
O: 0.029 0.750 0.431
O: 0.080 0.250 0.891
O: 0.139 0.567 0.109
O: 0.139 0.933 0.109
O: 0.142 0.578 0.616
O: 0.142 0.922 0.616
O: 0.245 0.250 0.767
O: 0.248 0.750 0.924
O: 0.252 0.250 0.424
O: 0.255 0.750 0.267
O: 0.358 0.078 0.116
O: 0.358 0.422 0.116
O: 0.361 0.067 0.609
O: 0.361 0.433 0.609
O: 0.420 0.750 0.391
O: 0.471 0.250 0.931
O: 0.478 0.250 0.278
O: 0.522 0.750 0.722
O: 0.529 0.750 0.069
O: 0.580 0.250 0.609
O: 0.639 0.567 0.391
O: 0.639 0.933 0.391
O: 0.642 0.578 0.884
O: 0.642 0.922 0.884
O: 0.745 0.250 0.733
O: 0.748 0.750 0.576
O: 0.752 0.250 0.076
O: 0.755 0.750 0.233
O: 0.858 0.078 0.384
O: 0.858 0.422 0.384
O: 0.861 0.067 0.891
O: 0.861 0.433 0.891
O: 0.920 0.750 0.109
O: 0.971 0.250 0.569
O: 0.978 0.250 0.222

=====

No. 2
The following is a DFT calculation (PBE) of an optimized crystal structure of RuCl3.

a = 5.676 Å, b = 11.308 Å, c = 6.593 Å
α = 90.00°, β = 90.00°, γ = 90.00°
Positions (direct):
Ru: 0.001 0.250 0.245
Ru: 0.499 0.250 0.245
Ru: 0.501 0.750 0.755
Ru: 0.999 0.750 0.755
Cl: 0.250 0.104 0.389
Cl: 0.250 0.250 0.956
Cl: 0.250 0.396 0.389
Cl: 0.250 0.605 0.899
Cl: 0.250 0.750 0.467
Cl: 0.250 0.895 0.899
Cl: 0.750 0.105 0.101
Cl: 0.750 0.250 0.533
Cl: 0.750 0.395 0.101
Cl: 0.750 0.604 0.611
Cl: 0.750 0.750 0.044
Cl: 0.750 0.896 0.611

=====

The calculation returns the following total DFT energy (no corrections) values, one per record and in order: -94.88 -17.00 eV per formula unit.